P:
VASP calculation (GGA-PBE) on a relaxed structure of Ag2IO6.

```
Ag2IO6
1.0
2.8736 1.6591 4.8676
-2.8736 1.6591 4.8676
0.0000 -3.3182 4.8676
Ag I O
2 1 6
Direct
0.2095 0.2095 0.2095
0.7905 0.7905 0.7905
0.0000 0.0000 0.0000
0.0745 0.3475 0.8191
0.1809 0.9255 0.6525
0.3475 0.8191 0.0745
0.6525 0.1809 0.9255
0.8191 0.0745 0.3475
0.9255 0.6525 0.1809
```

Magnetization (μB per atom): 0.109
Mass density (g cm⁻³): 5.231


Q:
VASP calculation (GGA-PBE) on a relaxed structure of Ag2IO6.

```
Ag2IO6
1.0
3.9743 0.0000 0.0000
-0.7883 6.8951 0.0000
-0.2646 -1.7521 7.2236
Ag I O
2 1 6
Direct
0.2111 0.3465 0.3758
0.7889 0.6535 0.6242
0.5000 0.0000 0.0000
0.1553 0.0720 0.1950
0.2788 0.6239 0.5616
0.4075 0.5493 0.0527
0.5925 0.4507 0.9473
0.7212 0.3761 0.4384
0.8447 0.9280 0.8050
```

Magnetization (μB per atom): 0.204
Mass density (g cm⁻³): 3.680


Q: Which of them is the most stable? A: P.


P:
VASP calculation (GGA-PBE) on a relaxed structure of Ag7S2I2.

```
Ag7S2I2
1.0
4.2484 0.0000 0.0000
-1.6922 4.0235 0.0000
-0.5088 -1.3551 17.9095
Ag S I
7 2 2
Direct
0.0000 0.0000 0.0000
0.0288 0.1664 0.2189
0.3682 0.5336 0.9047
0.4544 0.9444 0.5406
0.6900 0.4182 0.0911
0.7975 0.5838 0.4612
0.9283 0.1707 0.7698
0.2378 0.8903 0.1148
0.7181 0.1417 0.8933
0.1036 0.3002 0.6292
0.7242 0.5293 0.3045
```

Magnetization (μB per atom): 0.000
Mass density (g cm⁻³): 5.820


Q:
VASP calculation (GGA-PBE) on a relaxed structure of Ag7S2I2.

```
Ag7S2I2
1.0
4.5371 0.0000 0.0000
-1.9880 4.2647 0.0000
-1.0426 -1.5163 14.8308
Ag S I
7 2 2
Direct
0.0000 0.0000 0.0000
0.0326 0.5251 0.3196
0.2344 0.2696 0.5974
0.5573 0.9626 0.4595
0.6842 0.3772 0.0836
0.7670 0.7191 0.7311
0.8973 0.6160 0.5281
0.2814 0.8088 0.6680
0.5221 0.4279 0.3871
0.3628 0.7691 0.1620
0.5222 0.4340 0.8933
```

Magnetization (μB per atom): 0.000
Mass density (g cm⁻³): 6.209


Q: Which of them is the most stable? A: Q.